Density functional theory data (PBE) for a geometry-optimized Na15Ca2Ta10Si15P3O72 structure.

Structure (POSCAR):
```
Na15Ca2Ta10Si15P3O72
1.0
9.071 0.000 0.000
4.522 7.872 0.000
0.022 0.039 22.659
Na Ca Ta Si P O
15 2 10 15 3 72
Direct
0.000 0.000 0.000
0.000 0.344 0.501
0.014 0.670 0.587
0.024 0.649 0.086
0.036 0.275 0.843
0.042 0.028 0.341
0.350 0.992 0.252
0.356 0.988 0.752
0.365 0.637 0.501
0.389 0.678 0.839
0.390 0.279 0.342
0.640 0.671 0.343
0.643 0.026 0.842
0.683 0.332 0.924
0.690 0.315 0.423
0.357 0.994 0.403
0.358 0.993 0.904
0.015 0.660 0.942
0.020 0.664 0.727
0.025 0.657 0.441
0.028 0.656 0.226
0.358 0.991 0.605
0.359 0.998 0.106
0.690 0.324 0.569
0.690 0.327 0.069
0.690 0.330 0.270
0.694 0.325 0.770
0.017 0.376 0.333
0.017 0.949 0.834
0.056 0.996 0.501
0.058 0.290 0.001
0.314 0.652 0.333
0.364 0.285 0.500
0.400 0.620 0.670
0.401 0.322 0.169
0.651 0.998 0.001
0.652 0.697 0.502
0.684 0.037 0.670
0.685 0.622 0.168
0.739 0.652 0.833
0.984 0.036 0.169
0.986 0.322 0.669
0.309 0.383 0.833
0.359 0.693 0.002
0.747 0.945 0.332
0.000 0.849 0.176
0.006 0.490 0.676
0.023 0.488 0.278
0.033 0.827 0.778
0.050 0.817 0.495
0.051 0.476 0.996
0.107 0.050 0.441
0.107 0.186 0.941
0.171 0.152 0.661
0.172 0.016 0.160
0.181 0.973 0.832
0.183 0.477 0.496
0.184 0.192 0.331
0.190 0.685 0.998
0.191 0.179 0.056
0.192 0.669 0.278
0.195 0.960 0.555
0.202 0.475 0.778
0.212 0.491 0.175
0.212 0.637 0.676
0.219 0.632 0.393
0.221 0.494 0.889
0.325 0.185 0.554
0.328 0.822 0.053
0.329 0.207 0.835
0.338 0.815 0.332
0.382 0.153 0.161
0.382 0.807 0.662
0.393 0.748 0.943
0.399 0.197 0.438
0.488 0.371 0.830
0.494 0.501 0.613
0.499 0.349 0.114
0.500 0.472 0.330
0.510 0.513 0.015
0.514 0.330 0.514
0.515 0.806 0.160
0.516 0.019 0.661
0.519 0.297 0.229
0.520 0.522 0.728
0.546 0.969 0.055
0.547 0.827 0.556
0.548 0.744 0.441
0.555 0.818 0.833
0.564 0.032 0.938
0.571 0.965 0.335
0.660 0.525 0.228
0.662 0.154 0.729
0.687 0.503 0.516
0.689 0.154 0.014
0.711 0.136 0.615
0.714 0.494 0.114
0.728 0.475 0.830
0.735 0.123 0.330
0.837 0.136 0.830
0.838 0.839 0.278
0.840 0.362 0.330
0.843 0.677 0.496
0.847 0.823 0.997
0.848 0.662 0.777
0.853 0.642 0.176
0.855 0.848 0.675
0.856 0.856 0.389
0.861 0.629 0.892
0.862 0.132 0.113
0.863 0.351 0.612
0.867 0.319 0.016
0.869 0.158 0.516
0.887 0.157 0.228
0.887 0.298 0.727
0.992 0.492 0.393
0.997 0.854 0.894
```

**Calculated formation energy**: -3066.5 meV per atom
**E_tot**: -0.5689 Ry/atom
**Corrected total energy (MP2020 scheme)**: -8.16 eV per atom


Density functional theory data (PBE) for a geometry-optimized CaBi2Au6 structure.

Structure (POSCAR):
```
CaBi2Au6
1.0
5.703 0.000 0.000
-2.851 4.939 0.000
0.000 0.000 14.071
Ca Bi Au
2 4 12
Direct
0.000 0.000 0.000
0.333 0.667 0.670
0.000 0.000 0.752
0.333 0.667 0.415
0.667 0.333 0.093
0.667 0.333 0.338
0.000 0.000 0.378
0.000 0.500 0.880
0.166 0.332 0.210
0.166 0.834 0.210
0.333 0.167 0.546
0.333 0.667 0.044
0.500 0.000 0.880
0.500 0.500 0.880
0.667 0.333 0.711
0.668 0.834 0.210
0.833 0.167 0.546
0.833 0.667 0.546
```

**Calculated formation energy**: -295.0 meV per atom
**E_tot**: -0.2620 Ry/atom


Density functional theory data (PBE) for a geometry-optimized Lu4CdPt structure.

Structure (POSCAR):
```
Lu4CdPt
1.0
0.000 6.704 6.704
6.704 0.000 6.704
6.704 6.704 0.000
Lu Cd Pt
16 4 4
Direct
0.185 0.185 0.815
0.185 0.815 0.185
0.185 0.815 0.815
0.398 0.398 0.398
0.398 0.398 0.805
0.398 0.805 0.398
0.561 0.561 0.939
0.561 0.939 0.561
0.561 0.939 0.939
0.805 0.398 0.398
0.815 0.185 0.185
0.815 0.185 0.815
0.815 0.815 0.185
0.939 0.561 0.561
0.939 0.561 0.939
0.939 0.939 0.561
0.168 0.168 0.168
0.168 0.168 0.496
0.168 0.496 0.168
0.496 0.168 0.168
0.179 0.607 0.607
0.607 0.179 0.607
0.607 0.607 0.179
0.607 0.607 0.607
```

**Calculated formation energy**: -630.9 meV per atom
**E_tot**: -0.3536 Ry/atom


Density functional theory data (PBE) for a geometry-optimized In4Ag9 structure.

Structure (POSCAR):
```
In4Ag9
1.0
10.065 0.000 0.000
0.000 10.065 0.000
0.000 0.000 10.065
In Ag
16 36
Direct
0.034 0.310 0.310
0.034 0.690 0.690
0.310 0.034 0.310
0.310 0.310 0.034
0.310 0.690 0.966
0.310 0.966 0.690
0.377 0.377 0.623
0.377 0.623 0.377
0.623 0.377 0.377
0.623 0.623 0.623
0.690 0.034 0.690
0.690 0.310 0.966
0.690 0.690 0.034
0.690 0.966 0.310
0.966 0.310 0.690
0.966 0.690 0.310
0.000 0.000 0.356
0.000 0.000 0.644
0.000 0.356 0.000
0.000 0.644 0.000
0.105 0.105 0.105
0.105 0.895 0.895
0.143 0.500 0.500
0.175 0.175 0.825
0.175 0.825 0.175
0.182 0.182 0.528
0.182 0.472 0.818
0.182 0.528 0.182
0.182 0.818 0.472
0.331 0.331 0.331
0.331 0.669 0.669
0.356 0.000 0.000
0.472 0.182 0.818
0.472 0.818 0.182
0.500 0.143 0.500
0.500 0.500 0.143
0.500 0.500 0.857
0.500 0.857 0.500
0.528 0.182 0.182
0.528 0.818 0.818
0.644 0.000 0.000
0.669 0.331 0.669
0.669 0.669 0.331
0.818 0.182 0.472
0.818 0.472 0.182
0.818 0.528 0.818
0.818 0.818 0.528
0.825 0.175 0.175
0.825 0.825 0.825
0.857 0.500 0.500
0.895 0.105 0.895
0.895 0.895 0.105
```

**Calculated formation energy**: -33.3 meV per atom
**E_tot**: -0.2088 Ry/atom


Density functional theory data (PBE) for a geometry-optimized Ba4Sb2O structure.

Structure (POSCAR):
```
Ba4Sb2O
1.0
-2.666 2.666 9.221
2.666 -2.666 9.221
2.666 2.666 -9.221
Ba Sb O
4 2 1
Direct
0.000 0.500 0.500
0.171 0.171 0.000
0.500 0.000 0.500
0.829 0.829 0.000
0.363 0.363 0.000
0.637 0.637 0.000
0.000 0.000 0.000
```

**Calculated formation energy**: -1596.4 meV per atom
**E_tot**: -0.3294 Ry/atom
**Corrected total energy (MP2020 scheme)**: -4.58 eV per atom


Density functional theory data (PBE) for a geometry-optimized La2CuGe6 structure.

Structure (POSCAR):
```
La2CuGe6
1.0
4.228 0.000 0.000
0.000 2.087 11.139
0.000 -2.087 11.139
La Cu Ge
2 1 6
Direct
0.000 0.000 0.000
0.000 0.331 0.331
0.500 0.774 0.774
0.000 0.607 0.607
0.000 0.718 0.718
0.500 0.106 0.106
0.500 0.217 0.217
0.500 0.449 0.449
0.500 0.883 0.883
```

**Calculated formation energy**: -462.2 meV per atom
**E_tot**: -0.3746 Ry/atom


Density functional theory data (PBE) for a geometry-optimized CeSi2Rh structure.

Structure (POSCAR):
```
CeSi2Rh
1.0
2.101 -8.426 0.000
2.101 8.426 0.000
0.000 0.000 4.159
Ce Si Rh
2 4 2
Direct
0.106 0.894 0.750
0.894 0.106 0.250
0.249 0.751 0.250
0.463 0.537 0.750
0.537 0.463 0.250
0.751 0.249 0.750
0.322 0.678 0.750
0.678 0.322 0.250
```

**Calculated formation energy**: -924.0 meV per atom
**E_tot**: -0.5116 Ry/atom


Density functional theory data (PBE) for a geometry-optimized Er2Al structure.

Structure (POSCAR):
```
Er2Al
1.0
6.535 0.000 0.000
0.000 5.059 0.000
0.000 0.000 9.317
Er Al
8 4
Direct
0.030 0.250 0.210
0.189 0.250 0.570
0.311 0.750 0.070
0.470 0.750 0.710
0.530 0.250 0.290
0.689 0.250 0.930
0.811 0.750 0.430
0.970 0.750 0.790
0.213 0.250 0.895
0.287 0.750 0.395
0.713 0.250 0.605
0.787 0.750 0.105
```

**Calculated formation energy**: -293.2 meV per atom
**E_tot**: -0.3371 Ry/atom